A plane-wave DFT calculation with meta-GGA r2SCAN was carried out for a geometry-optimized ZrSc structure.

Calculated values
**Space-group type**: P-6m2 (187)
**E_form**: 0.03 eV/atom

a b c (Å): 3.2828 3.2828 5.1550
angles (deg): 90.00 90.00 120.00
With the nearest neighbours (Å) after each atom.
Element x y z (fractional)
Zr  0.0000  0.0000  0.0000  6 Sc 3.20, 6 Zr 3.28
Sc  0.3333  0.6667  0.5000  6 Zr 3.20, 6 Sc 3.28